No. 1
## Na2FeNi2P3O12 (PBE+U)

Data for crystalline Na2FeNi2P3O12 at its relaxed geometry.

a = 8.5936 Å, b = 8.5936 Å, c = 6.5194 Å
α = 73.93°, β = 73.93°, γ = 94.29°
Last column: nearest neighbours and their distance in Å.
Sites, in units of the cell vectors:
O 0.2356 0.0155 0.6676  1 P 1.57
O 0.9845 0.7644 0.8324  1 P 1.57
O 0.0155 0.2356 0.1676  1 P 1.57
O 0.2337 0.9752 0.2430  1 P 1.53
O 0.3293 0.3249 0.6081  1 P 1.54
O 0.1001 0.4577 0.3132  1 P 1.54
O 0.9752 0.2337 0.7430  1 P 1.53
O 0.6707 0.6751 0.3919  1 P 1.54
O 0.6870 0.2421 0.9653  1 P 1.59
O 0.2421 0.6870 0.4653  1 P 1.59
O 0.8999 0.5423 0.6868  1 P 1.54
O 0.7579 0.3130 0.5347  1 P 1.59
O 0.8228 0.4872 0.1115  1 P 1.59
O 0.7663 0.0248 0.7570  1 P 1.53
O 0.1772 0.5128 0.8885  1 P 1.59
O 0.4577 0.1001 0.8132  1 P 1.54
O 0.0248 0.7663 0.2570  1 P 1.53
O 0.3130 0.7579 0.0347  1 P 1.59
O 0.7644 0.9845 0.3324  1 P 1.57
O 0.4872 0.8228 0.6115  1 P 1.59
O 0.5128 0.1772 0.3885  1 P 1.59
O 0.6751 0.6707 0.8919  1 P 1.54
O 0.3249 0.3293 0.1081  1 P 1.54
O 0.5423 0.8999 0.1868  1 P 1.54
Na 0.0000 0.0000 0.5000  6 O 2.30-2.56
Na 0.5155 0.4845 0.7500  4 O 2.40-2.55
Na 0.0000 0.0000 0.0000  6 O 2.30-2.56
Na 0.4845 0.5155 0.2500  4 O 2.40-2.55
P 0.3801 0.1549 0.6238  4 O 1.54-1.59
P 0.1549 0.3801 0.1238  4 O 1.54-1.59
P 0.2041 0.7959 0.2500  4 O 1.53-1.59
P 0.6199 0.8451 0.3762  4 O 1.54-1.59
P 0.7959 0.2041 0.7500  4 O 1.53-1.59
P 0.8451 0.6199 0.8762  4 O 1.54-1.59
Ni 0.1236 0.4452 0.6245  6 O 1.96-2.13
Ni 0.8764 0.5548 0.3755  6 O 1.96-2.13
Ni 0.5548 0.8764 0.8755  6 O 1.96-2.13
Ni 0.4452 0.1236 0.1245  6 O 1.96-2.13
Fe 0.2341 0.7659 0.7500  6 O 2.06-2.13
Fe 0.7659 0.2341 0.2500  6 O 2.06-2.13

Results
Energy of formation: -2.31 eV per atom

No. 2
## Na3FeO4 (PBE+U)

Data for crystalline Na3FeO4 at its relaxed geometry.

a = 8.9206 Å, b = 10.0269 Å, c = 10.3893 Å
α = 90.00°, β = 90.00°, γ = 90.00°
Last column: nearest neighbours and their distance in Å.
Sites, in units of the cell vectors:
O 0.6978 0.7415 0.1596  1 Fe 1.74
O 0.0876 0.3436 0.0020  1 Fe 1.75
O 0.8022 0.2415 0.8404  1 Fe 1.74
O 0.8746 0.0172 0.2512  1 Fe 1.74
O 0.6763 0.9714 0.4371  1 Fe 1.73
O 0.1763 0.5286 0.4371  1 Fe 1.73
O 0.0876 0.8436 0.4980  1 Fe 1.75
O 0.3022 0.7585 0.6596  1 Fe 1.74
O 0.1978 0.2585 0.3404  1 Fe 1.74
O 0.1763 0.0286 0.0629  1 Fe 1.73
O 0.6978 0.2415 0.3404  1 Fe 1.74
O 0.6763 0.4714 0.0629  1 Fe 1.73
O 0.5876 0.6564 0.4980  1 Fe 1.75
O 0.3746 0.4828 0.2512  1 Fe 1.74
O 0.4124 0.8436 0.9980  1 Fe 1.75
O 0.3022 0.2585 0.8404  1 Fe 1.74
O 0.6254 0.0172 0.7512  1 Fe 1.74
O 0.8746 0.5172 0.2488  1 Fe 1.74
O 0.5876 0.1564 0.0020  1 Fe 1.75
O 0.3237 0.0286 0.5629  1 Fe 1.73
O 0.1254 0.4828 0.7512  1 Fe 1.74
O 0.6254 0.5172 0.7488  1 Fe 1.74
O 0.4124 0.3436 0.5020  1 Fe 1.75
O 0.8237 0.9714 0.9371  1 Fe 1.73
O 0.3237 0.5286 0.9371  1 Fe 1.73
O 0.1978 0.7585 0.1596  1 Fe 1.74
O 0.9124 0.1564 0.5020  1 Fe 1.75
O 0.9124 0.6564 0.9980  1 Fe 1.75
O 0.3746 0.9828 0.2488  1 Fe 1.74
O 0.8022 0.7415 0.6596  1 Fe 1.74
O 0.8237 0.4714 0.5629  1 Fe 1.73
O 0.1254 0.9828 0.7488  1 Fe 1.74
Na 0.5408 0.3714 0.9035  5 O 2.28-2.52
Na 0.5408 0.8714 0.5965  5 O 2.28-2.52
Na 0.6199 0.4619 0.3566  4 O 2.32-2.59
Na 0.9592 0.3714 0.4035  5 O 2.28-2.52
Na 0.7143 0.2698 0.6229  3 O 2.33-2.45
Na 0.0408 0.1286 0.9035  5 O 2.28-2.52
Na 0.0408 0.6286 0.5965  5 O 2.28-2.52
Na 0.2143 0.2302 0.6229  3 O 2.33-2.45
Na 0.4592 0.1286 0.4035  5 O 2.28-2.52
Na 0.8801 0.9619 0.6434  4 O 2.32-2.59
Na 0.7857 0.7698 0.3771  3 O 2.33-2.45
Na 0.3801 0.5381 0.6434  4 O 2.32-2.59
Na 0.7143 0.7698 0.8771  3 O 2.33-2.45
Na 0.2143 0.7302 0.8771  3 O 2.33-2.45
Na 0.9592 0.8714 0.0965  5 O 2.28-2.52
Na 0.3801 0.0381 0.8566  4 O 2.32-2.59
Na 0.7857 0.2698 0.1229  3 O 2.33-2.45
Na 0.1199 0.0381 0.3566  4 O 2.32-2.59
Na 0.2857 0.2302 0.1229  3 O 2.33-2.45
Na 0.1199 0.5381 0.1434  4 O 2.32-2.59
Na 0.8801 0.4619 0.8566  4 O 2.32-2.59
Na 0.6199 0.9619 0.1434  4 O 2.32-2.59
Na 0.2857 0.7302 0.3771  3 O 2.33-2.45
Na 0.4592 0.6286 0.0965  5 O 2.28-2.52
Fe 0.2930 0.9036 0.1178  4 O 1.73-1.75
Fe 0.7070 0.0964 0.8822  4 O 1.73-1.75
Fe 0.7070 0.5964 0.6178  4 O 1.73-1.75
Fe 0.2930 0.4036 0.3822  4 O 1.73-1.75
Fe 0.7930 0.5964 0.1178  4 O 1.73-1.75
Fe 0.7930 0.0964 0.3822  4 O 1.73-1.75
Fe 0.2070 0.9036 0.6178  4 O 1.73-1.75
Fe 0.2070 0.4036 0.8822  4 O 1.73-1.75

Results
Energy of formation: -1.50 eV per atom

No. 3
## Na9Fe2O7 (PBE+U)

Data for crystalline Na9Fe2O7 at its relaxed geometry.

a = 9.5996 Å, b = 10.0221 Å, c = 10.4076 Å
α = 90.00°, β = 90.00°, γ = 90.00°
Last column: nearest neighbours and their distance in Å.
Sites, in units of the cell vectors:
Na 0.2769 0.7834 0.3879  4 O 2.35-2.44
Na 0.0885 0.0153 0.5249  4 O 2.32-2.44
Na 0.0152 0.6576 0.2372  3 O 2.33-2.38
Na 0.5152 0.3424 0.2372  3 O 2.33-2.38
Na 0.4247 0.5465 0.4689  2 O 2.28-2.48
Na 0.6523 0.9415 0.8260  3 O 2.33-2.46
Na 0.4293 0.1665 0.7521  3 O 2.33-2.52
Na 0.8428 0.3919 0.1323  3 O 2.31-2.38
Na 0.9859 0.7586 0.4874  6 O 2.42-2.64, 1 Na 2.69
Na 0.5141 0.7586 0.9874  6 O 2.42-2.64, 1 Na 2.69
Na 0.7231 0.2166 0.8879  4 O 2.35-2.44
Na 0.9293 0.8335 0.7521  3 O 2.33-2.52
Na 0.0707 0.1665 0.2521  3 O 2.33-2.52
Na 0.5885 0.9847 0.5249  4 O 2.32-2.44
Na 0.3477 0.0585 0.3260  3 O 2.33-2.46
Na 0.2889 0.2751 0.0558  4 O 2.39-2.61
Na 0.7769 0.2166 0.3879  4 O 2.35-2.44
Na 0.1523 0.0585 0.8260  3 O 2.33-2.46
Na 0.5707 0.8335 0.2521  3 O 2.33-2.52
Na 0.3428 0.6081 0.1323  3 O 2.31-2.38
Na 0.7111 0.7249 0.5558  4 O 2.39-2.61
Na 0.5753 0.4535 0.9689  2 O 2.28-2.48
Na 0.6572 0.3919 0.6323  3 O 2.31-2.38
Na 0.7889 0.7249 0.0558  4 O 2.39-2.61
Na 0.4848 0.6576 0.7372  3 O 2.33-2.38
Na 0.0141 0.2414 0.9874  6 O 2.42-2.64, 1 Na 2.69
Na 0.2231 0.7834 0.8879  4 O 2.35-2.44
Na 0.9848 0.3424 0.7372  3 O 2.33-2.38
Na 0.2111 0.2751 0.5558  4 O 2.39-2.61
Na 0.4115 0.0153 0.0249  4 O 2.32-2.44
Na 0.8477 0.9415 0.3260  3 O 2.33-2.46
Na 0.4859 0.2414 0.4874  6 O 2.42-2.64, 1 Na 2.69
Na 0.0753 0.5465 0.9689  2 O 2.28-2.48
Na 0.9247 0.4535 0.4689  2 O 2.28-2.48
Na 0.1572 0.6081 0.6323  3 O 2.31-2.38
Na 0.9115 0.9847 0.0249  4 O 2.32-2.44
Fe 0.8401 0.1015 0.6474  4 O 1.91-1.95
Fe 0.3401 0.8985 0.6474  4 O 1.91-1.95
Fe 0.6599 0.1015 0.1474  4 O 1.91-1.95
Fe 0.8113 0.5683 0.8037  3 O 1.84-1.87
Fe 0.1599 0.8985 0.1474  4 O 1.91-1.95
Fe 0.6887 0.5683 0.3037  3 O 1.84-1.87
Fe 0.3113 0.4317 0.8037  3 O 1.84-1.87
Fe 0.1887 0.4317 0.3037  3 O 1.84-1.87
O 0.8421 0.4200 0.9091  1 Fe 1.87
O 0.8024 0.7135 0.3329  1 Fe 1.84
O 0.1976 0.2865 0.8329  1 Fe 1.84
O 0.6683 0.9334 0.0617  1 Fe 1.91
O 0.3421 0.5800 0.9091  1 Fe 1.87
O 0.5881 0.5800 0.1502  1 Fe 1.87
O 0.0881 0.4200 0.1502  1 Fe 1.87
O 0.6540 0.1650 0.6680  1 Fe 1.91
O 0.3317 0.0666 0.5617  1 Fe 1.91
O 0.0936 0.9261 0.3194  1 Fe 1.92
O 0.9064 0.0739 0.8194  1 Fe 1.92
O 0.3024 0.2865 0.3329  1 Fe 1.84
O 0.5433 0.2221 0.0476  1 Fe 1.95
O 0.1579 0.5800 0.4091  1 Fe 1.87
O 0.4119 0.4200 0.6502  1 Fe 1.87
O 0.8460 0.1650 0.1680  1 Fe 1.91
O 0.4567 0.7779 0.5476  1 Fe 1.95
O 0.0433 0.7779 0.0476  1 Fe 1.95
O 0.9119 0.5800 0.6502  1 Fe 1.87
O 0.9567 0.2221 0.5476  1 Fe 1.95
O 0.5936 0.0739 0.3194  1 Fe 1.92
O 0.1540 0.8350 0.6680  1 Fe 1.91
O 0.1683 0.0666 0.0617  1 Fe 1.91
O 0.8317 0.9334 0.5617  1 Fe 1.91
O 0.3460 0.8350 0.1680  1 Fe 1.91
O 0.4064 0.9261 0.8194  1 Fe 1.92
O 0.6976 0.7135 0.8329  1 Fe 1.84
O 0.6579 0.4200 0.4091  1 Fe 1.87

Results
Energy of formation: -1.58 eV per atom

Question: Which value of energy of formation does entry 1 give?
Answer: -2.31 eV per atom